Entry 1:
Here is CsFeH24Se2O20 after structural relaxation from the Materials Project. Energies are from GGA+U.

Properties
DFT total energy in eV/atom: -5.0878
ΔH_f (0 K) in eV per atom: -1.322
SG: Pa-3 (205)

Lattice parameters (Å, degrees): 12.7766 12.7766 12.7766 90.00 90.00 90.00
Fractional coordinates of all 192 atoms:
Cs: 0.0000 0.0000 0.0000
Cs: 0.0000 0.5000 0.5000
Cs: 0.5000 0.0000 0.5000
Cs: 0.5000 0.5000 0.0000
Fe: 0.0000 0.0000 0.5000
Fe: 0.0000 0.5000 0.0000
Fe: 0.5000 0.0000 0.0000
Fe: 0.5000 0.5000 0.5000
H: 0.0016 0.6932 0.7186
H: 0.0016 0.8068 0.2186
H: 0.0307 0.5453 0.7919
H: 0.0307 0.9547 0.2919
H: 0.0343 0.0816 0.3083
H: 0.0343 0.4184 0.8083
H: 0.0453 0.7081 0.9693
H: 0.0453 0.7919 0.4693
H: 0.0816 0.1917 0.5343
H: 0.0816 0.3083 0.0343
H: 0.1214 0.6691 0.7186
H: 0.1214 0.8309 0.2186
H: 0.1691 0.7186 0.3786
H: 0.1691 0.7814 0.8786
H: 0.1917 0.5343 0.0816
H: 0.1917 0.9657 0.5816
H: 0.1932 0.7186 0.4984
H: 0.1932 0.7814 0.9984
H: 0.2081 0.5307 0.9547
H: 0.2081 0.9693 0.4547
H: 0.2186 0.0016 0.8068
H: 0.2186 0.1214 0.8309
H: 0.2186 0.3786 0.3309
H: 0.2186 0.4984 0.3068
H: 0.2814 0.5016 0.8068
H: 0.2814 0.6214 0.8309
H: 0.2814 0.8786 0.3309
H: 0.2814 0.9984 0.3068
H: 0.2919 0.0307 0.9547
H: 0.2919 0.4693 0.4547
H: 0.3068 0.2186 0.4984
H: 0.3068 0.2814 0.9984
H: 0.3083 0.0343 0.0816
H: 0.3083 0.4657 0.5816
H: 0.3309 0.2186 0.3786
H: 0.3309 0.2814 0.8786
H: 0.3786 0.1691 0.7186
H: 0.3786 0.3309 0.2186
H: 0.4184 0.6917 0.5343
H: 0.4184 0.8083 0.0343
H: 0.4547 0.2081 0.9693
H: 0.4547 0.2919 0.4693
H: 0.4657 0.5816 0.3083
H: 0.4657 0.9184 0.8083
H: 0.4693 0.0453 0.7919
H: 0.4693 0.4547 0.2919
H: 0.4984 0.1932 0.7186
H: 0.4984 0.3068 0.2186
H: 0.5016 0.6932 0.7814
H: 0.5016 0.8068 0.2814
H: 0.5307 0.5453 0.7081
H: 0.5307 0.9547 0.2081
H: 0.5343 0.0816 0.1917
H: 0.5343 0.4184 0.6917
H: 0.5453 0.7081 0.5307
H: 0.5453 0.7919 0.0307
H: 0.5816 0.1917 0.9657
H: 0.5816 0.3083 0.4657
H: 0.6214 0.6691 0.7814
H: 0.6214 0.8309 0.2814
H: 0.6691 0.7186 0.1214
H: 0.6691 0.7814 0.6214
H: 0.6917 0.5343 0.4184
H: 0.6917 0.9657 0.9184
H: 0.6932 0.7186 0.0016
H: 0.6932 0.7814 0.5016
H: 0.7081 0.5307 0.5453
H: 0.7081 0.9693 0.0453
H: 0.7186 0.0016 0.6932
H: 0.7186 0.1214 0.6691
H: 0.7186 0.3786 0.1691
H: 0.7186 0.4984 0.1932
H: 0.7814 0.5016 0.6932
H: 0.7814 0.6214 0.6691
H: 0.7814 0.8786 0.1691
H: 0.7814 0.9984 0.1932
H: 0.7919 0.0307 0.5453
H: 0.7919 0.4693 0.0453
H: 0.8068 0.2186 0.0016
H: 0.8068 0.2814 0.5016
H: 0.8083 0.0343 0.4184
H: 0.8083 0.4657 0.9184
H: 0.8309 0.2186 0.1214
H: 0.8309 0.2814 0.6214
H: 0.8786 0.1691 0.7814
H: 0.8786 0.3309 0.2814
H: 0.9184 0.6917 0.9657
H: 0.9184 0.8083 0.4657
H: 0.9547 0.2081 0.5307
H: 0.9547 0.2919 0.0307
H: 0.9657 0.5816 0.1917
H: 0.9657 0.9184 0.6917
H: 0.9693 0.0453 0.7081
H: 0.9693 0.4547 0.2081
H: 0.9984 0.1932 0.7814
H: 0.9984 0.3068 0.2814
Se: 0.1887 0.1887 0.1887
Se: 0.1887 0.3113 0.6887
Se: 0.3113 0.6887 0.1887
Se: 0.3113 0.8113 0.6887
Se: 0.6887 0.1887 0.3113
Se: 0.6887 0.3113 0.8113
Se: 0.8113 0.6887 0.3113
Se: 0.8113 0.8113 0.8113
O: 0.0124 0.0142 0.3421
O: 0.0124 0.4858 0.8421
O: 0.0142 0.1579 0.5124
O: 0.0142 0.3421 0.0124
O: 0.0522 0.6355 0.7076
O: 0.0522 0.8645 0.2076
O: 0.0668 0.1868 0.2370
O: 0.0668 0.3132 0.7370
O: 0.1355 0.7076 0.4478
O: 0.1355 0.7924 0.9478
O: 0.1579 0.5124 0.0142
O: 0.1579 0.9876 0.5142
O: 0.1868 0.2370 0.0668
O: 0.1868 0.2630 0.5668
O: 0.2076 0.0522 0.8645
O: 0.2076 0.4478 0.3645
O: 0.2350 0.7350 0.7650
O: 0.2350 0.7650 0.2650
O: 0.2370 0.0668 0.1868
O: 0.2370 0.4332 0.6868
O: 0.2630 0.5668 0.1868
O: 0.2630 0.9332 0.6868
O: 0.2650 0.2350 0.7650
O: 0.2650 0.2650 0.2650
O: 0.2924 0.5522 0.8645
O: 0.2924 0.9478 0.3645
O: 0.3132 0.7370 0.0668
O: 0.3132 0.7630 0.5668
O: 0.3421 0.0124 0.0142
O: 0.3421 0.4876 0.5142
O: 0.3645 0.2076 0.4478
O: 0.3645 0.2924 0.9478
O: 0.4332 0.6868 0.2370
O: 0.4332 0.8132 0.7370
O: 0.4478 0.1355 0.7076
O: 0.4478 0.3645 0.2076
O: 0.4858 0.6579 0.5124
O: 0.4858 0.8421 0.0124
O: 0.4876 0.5142 0.3421
O: 0.4876 0.9858 0.8421
O: 0.5124 0.0142 0.1579
O: 0.5124 0.4858 0.6579
O: 0.5142 0.1579 0.9876
O: 0.5142 0.3421 0.4876
O: 0.5522 0.6355 0.7924
O: 0.5522 0.8645 0.2924
O: 0.5668 0.1868 0.2630
O: 0.5668 0.3132 0.7630
O: 0.6355 0.7076 0.0522
O: 0.6355 0.7924 0.5522
O: 0.6579 0.5124 0.4858
O: 0.6579 0.9876 0.9858
O: 0.6868 0.2370 0.4332
O: 0.6868 0.2630 0.9332
O: 0.7076 0.0522 0.6355
O: 0.7076 0.4478 0.1355
O: 0.7350 0.7350 0.7350
O: 0.7350 0.7650 0.2350
O: 0.7370 0.0668 0.3132
O: 0.7370 0.4332 0.8132
O: 0.7630 0.5668 0.3132
O: 0.7630 0.9332 0.8132
O: 0.7650 0.2350 0.7350
O: 0.7650 0.2650 0.2350
O: 0.7924 0.5522 0.6355
O: 0.7924 0.9478 0.1355
O: 0.8132 0.7370 0.4332
O: 0.8132 0.7630 0.9332
O: 0.8421 0.0124 0.4858
O: 0.8421 0.4876 0.9858
O: 0.8645 0.2076 0.0522
O: 0.8645 0.2924 0.5522
O: 0.9332 0.6868 0.2630
O: 0.9332 0.8132 0.7630
O: 0.9478 0.1355 0.7924
O: 0.9478 0.3645 0.2924
O: 0.9858 0.6579 0.9876
O: 0.9858 0.8421 0.4876
O: 0.9876 0.5142 0.1579
O: 0.9876 0.9858 0.6579

=====

Entry 2:
Here is Cs2K4Fe2O5 after structural relaxation from the Materials Project. Energies are from GGA+U.

Properties
DFT total energy in eV/atom: -4.5547
ΔH_f (0 K) in eV per atom: -1.480
SG: C2/m (12)

Lattice parameters (Å, degrees): 6.7965 6.7965 7.0430 90.11 90.11 117.02
Fractional coordinates of all 13 atoms:
Cs: 0.1704 0.1704 0.3011
Cs: 0.8296 0.8296 0.6989
K: 0.2615 0.7385 0.0000
K: 0.2775 0.7225 0.5000
K: 0.7225 0.2775 0.5000
K: 0.7385 0.2615 0.0000
Fe: 0.3025 0.3025 0.8092
Fe: 0.6975 0.6975 0.1908
O: 0.0633 0.3538 0.7282
O: 0.3538 0.0633 0.7282
O: 0.5000 0.5000 0.0000
O: 0.6462 0.9367 0.2718
O: 0.9367 0.6462 0.2718

=====

Entry 3:
Here is CsFeMo2O8 after structural relaxation from the Materials Project. Energies are from GGA+U.

Properties
DFT total energy in eV/atom: -6.7328
ΔH_f (0 K) in eV per atom: -2.026
SG: P-3m1 (164)

Lattice parameters (Å, degrees): 5.7988 5.7988 8.3525 90.00 90.00 120.00
Fractional coordinates of all 12 atoms:
Cs: 0.0000 0.0000 0.0000
Fe: 0.0000 0.0000 0.5000
Mo: 0.3333 0.6667 0.7077
Mo: 0.6667 0.3333 0.2923
O: 0.1617 0.3233 0.6425
O: 0.1617 0.8383 0.6425
O: 0.3233 0.1617 0.3575
O: 0.3333 0.6667 0.9177
O: 0.6667 0.3333 0.0823
O: 0.6767 0.8383 0.6425
O: 0.8383 0.1617 0.3575
O: 0.8383 0.6767 0.3575

=====

Entry 4:
Here is Cs3FeMo4O15 after structural relaxation from the Materials Project. Energies are from GGA+U.

Properties
DFT total energy in eV/atom: -6.4956
ΔH_f (0 K) in eV per atom: -2.000
SG: P2_1/c (14)

Lattice parameters (Å, degrees): 11.7703 10.3227 18.9987 90.00 127.33 90.00
Fractional coordinates of all 92 atoms:
Cs: 0.1824 0.1798 0.4400
Cs: 0.1824 0.3202 0.9400
Cs: 0.1953 0.1125 0.6822
Cs: 0.1953 0.3875 0.1822
Cs: 0.3053 0.6230 0.8144
Cs: 0.3053 0.8770 0.3144
Cs: 0.6947 0.1230 0.6856
Cs: 0.6947 0.3770 0.1856
Cs: 0.8047 0.6125 0.8178
Cs: 0.8047 0.8875 0.3178
Cs: 0.8176 0.6798 0.0600
Cs: 0.8176 0.8202 0.5600
Fe: 0.0000 0.0000 0.0000
Fe: 0.0000 0.5000 0.5000
Fe: 0.5000 0.0000 0.0000
Fe: 0.5000 0.5000 0.5000
Mo: 0.1195 0.5650 0.3766
Mo: 0.1195 0.9350 0.8766
Mo: 0.1639 0.7290 0.0569
Mo: 0.1639 0.7710 0.5569
Mo: 0.3987 0.0206 0.1409
Mo: 0.3987 0.4794 0.6409
Mo: 0.4765 0.7046 0.0684
Mo: 0.4765 0.7954 0.5684
Mo: 0.5235 0.2046 0.4316
Mo: 0.5235 0.2954 0.9316
Mo: 0.6013 0.5206 0.3591
Mo: 0.6013 0.9794 0.8591
Mo: 0.8361 0.2290 0.4431
Mo: 0.8361 0.2710 0.9431
Mo: 0.8805 0.0650 0.1234
Mo: 0.8805 0.4350 0.6234
O: 0.0013 0.5181 0.6086
O: 0.0013 0.9819 0.1086
O: 0.0159 0.1936 0.0142
O: 0.0159 0.3064 0.5142
O: 0.0391 0.5738 0.2626
O: 0.0391 0.9262 0.7626
O: 0.1300 0.5731 0.0124
O: 0.1300 0.9269 0.5124
O: 0.1533 0.7242 0.4224
O: 0.1533 0.7758 0.9224
O: 0.1871 0.7026 0.1561
O: 0.1871 0.7974 0.6561
O: 0.2101 0.5467 0.5739
O: 0.2101 0.9533 0.0739
O: 0.2863 0.0265 0.9325
O: 0.2863 0.4735 0.4325
O: 0.3427 0.1828 0.3400
O: 0.3427 0.3172 0.8400
O: 0.3702 0.7455 0.6083
O: 0.3702 0.7545 0.1083
O: 0.3788 0.1893 0.1310
O: 0.3788 0.3107 0.6310
O: 0.4108 0.5530 0.0193
O: 0.4108 0.9470 0.5193
O: 0.4700 0.6956 0.4861
O: 0.4700 0.8044 0.9861
O: 0.4835 0.0246 0.8889
O: 0.4835 0.4754 0.3889
O: 0.4890 0.5208 0.7520
O: 0.4890 0.9792 0.2520
O: 0.5110 0.0208 0.7480
O: 0.5110 0.4792 0.2480
O: 0.5165 0.5246 0.6111
O: 0.5165 0.9754 0.1111
O: 0.5300 0.1956 0.0139
O: 0.5300 0.3044 0.5139
O: 0.5892 0.0530 0.4807
O: 0.5892 0.4470 0.9807
O: 0.6212 0.6893 0.3690
O: 0.6212 0.8107 0.8690
O: 0.6298 0.2455 0.8917
O: 0.6298 0.2545 0.3917
O: 0.6573 0.6828 0.1600
O: 0.6573 0.8172 0.6600
O: 0.7137 0.5265 0.5675
O: 0.7137 0.9735 0.0675
O: 0.7899 0.0467 0.9261
O: 0.7899 0.4533 0.4261
O: 0.8129 0.2026 0.3439
O: 0.8129 0.2974 0.8439
O: 0.8467 0.2242 0.0776
O: 0.8467 0.2758 0.5776
O: 0.8700 0.0731 0.4876
O: 0.8700 0.4269 0.9876
O: 0.9609 0.0738 0.2374
O: 0.9609 0.4262 0.7374
O: 0.9841 0.6936 0.4858
O: 0.9841 0.8064 0.9858
O: 0.9987 0.0181 0.8914
O: 0.9987 0.4819 0.3914

=====

Entry 5:
Here is CsFeMo2O8 after structural relaxation from the Materials Project. Energies are from GGA+U.

Properties
DFT total energy in eV/atom: -6.7317
ΔH_f (0 K) in eV per atom: -2.025
SG: P-3 (147)

Lattice parameters (Å, degrees): 5.6998 5.6998 8.3399 90.00 90.00 120.00
Fractional coordinates of all 12 atoms:
Cs: 0.0000 0.0000 0.0000
Fe: 0.0000 0.0000 0.5000
Mo: 0.3333 0.6667 0.7072
Mo: 0.6667 0.3333 0.2928
O: 0.1015 0.3237 0.6427
O: 0.2221 0.8985 0.6427
O: 0.3237 0.2221 0.3573
O: 0.3333 0.6667 0.9173
O: 0.6667 0.3333 0.0827
O: 0.6763 0.7779 0.6427
O: 0.7779 0.1015 0.3573
O: 0.8985 0.6763 0.3573

=====

Entry 6:
Here is Cs4FeMo3O12 after structural relaxation from the Materials Project. Energies are from GGA+U.

Properties
DFT total energy in eV/atom: -6.3105
ΔH_f (0 K) in eV per atom: -2.118
SG: Cc (9)

Lattice parameters (Å, degrees): 6.3863 6.3863 24.8152 90.13 90.13 120.07
Fractional coordinates of all 40 atoms:
Cs: 0.1666 0.8333 0.1336
Cs: 0.1665 0.8335 0.5000
Cs: 0.1666 0.8334 0.6945
Cs: 0.1673 0.8339 0.3216
Cs: 0.8335 0.1665 0.0000
Cs: 0.8334 0.1666 0.1945
Cs: 0.8333 0.1666 0.6336
Cs: 0.8339 0.1673 0.8216
Fe: 0.4917 0.4968 0.4130
Fe: 0.4968 0.4917 0.9130
Mo: 0.1665 0.8342 0.8909
Mo: 0.5000 0.4996 0.0689
Mo: 0.4996 0.5000 0.5689
Mo: 0.5002 0.5006 0.7562
Mo: 0.5006 0.5002 0.2562
Mo: 0.8342 0.1665 0.3909
O: 0.1279 0.4074 0.4148
O: 0.1666 0.8339 0.8199
O: 0.1945 0.3436 0.0926
O: 0.1962 0.3446 0.7311
O: 0.2202 0.5955 0.9139
O: 0.3436 0.1945 0.5926
O: 0.3446 0.1962 0.2311
O: 0.3505 0.6561 0.5927
O: 0.3513 0.6546 0.2313
O: 0.4074 0.1279 0.9148
O: 0.4981 0.4997 0.4953
O: 0.4997 0.4981 0.9953
O: 0.5003 0.5032 0.8301
O: 0.5032 0.5003 0.3301
O: 0.5955 0.2202 0.4139
O: 0.6483 0.8036 0.7312
O: 0.6493 0.8057 0.0926
O: 0.6546 0.3513 0.7313
O: 0.6561 0.3505 0.0927
O: 0.7809 0.8748 0.4141
O: 0.8036 0.6483 0.2312
O: 0.8057 0.6493 0.5926
O: 0.8339 0.1666 0.3199
O: 0.8748 0.7809 0.9141